# 1
Ba2CuWO6: relaxed, PBE+U.

Formation energy, meV per atom: -2445
Electronic total energy, eV/atom: -6.647

Cell: 5.613 5.613 9.003 Å, 90.00 90.00 90.00°
Space group I4/m (No. 87)
Inequivalent atoms, fractional coordinates:
Ba: 0.000 0.500 0.250 [4 per cell]
Cu: 0.000 0.000 0.000 [2 per cell]
W: 0.000 0.000 0.500 [2 per cell]
O: 0.000 0.000 0.284 [4 per cell]
O: 0.237 0.258 0.500 [8 per cell]

---

# 2
MgCr2Cl4O4: relaxed, PBE+U.

Formation energy, meV per atom: -1345
Electronic total energy, eV/atom: -5.104

Cell: 5.563 6.683 7.208 Å, 76.98 89.59 88.10°
Space group P1 (No. 1)
Inequivalent atoms, fractional coordinates:
Mg: 0.000 0.000 0.000 [1 per cell]
Cr: 0.350 0.453 0.915 [1 per cell]
Cr: 0.876 0.166 0.453 [1 per cell]
Cl: 0.224 0.673 0.095 [1 per cell]
Cl: 0.229 0.615 0.636 [1 per cell]
Cl: 0.727 0.001 0.745 [1 per cell]
Cl: 0.745 0.946 0.278 [1 per cell]
O: 0.165 0.156 0.455 [1 per cell]
O: 0.209 0.230 0.975 [1 per cell]
O: 0.637 0.446 0.918 [1 per cell]
O: 0.743 0.386 0.378 [1 per cell]

---

# 3
Li5WNO4: relaxed, PBE+U.

Formation energy, meV per atom: -1913
Electronic total energy, eV/atom: -5.862

Cell: 9.246 5.015 9.780 Å, 90.00 90.00 90.00°
Space group Cmc2_1 (No. 36)
Inequivalent atoms, fractional coordinates:
Li: 0.000 0.074 0.000 [4 per cell]
Li: 0.192 0.155 0.772 [8 per cell]
Li: 0.213 0.480 0.519 [8 per cell]
W: 0.000 0.304 0.277 [4 per cell]
N: 0.000 0.342 0.801 [4 per cell]
O: 0.147 0.222 0.138 [8 per cell]
O: 0.148 0.175 0.404 [8 per cell]